# 1
Compound: K3FeF6
Source: Materials Project
Functional: meta-GGA r2SCAN
Structure: optimized geometry

Cell: 6.196 6.196 6.196 Å, 60.00 60.00 60.00°
Positions (direct):
K1 0.000 0.000 0.000
K2 0.250 0.250 0.250
K3 0.750 0.750 0.750
Fe1 0.500 0.500 0.500
F1 0.280 0.280 0.720
F2 0.280 0.720 0.280
F3 0.280 0.720 0.720
F4 0.720 0.280 0.280
F5 0.720 0.280 0.720
F6 0.720 0.720 0.280

Output
ΔE_f	-2775	kJ/mol of formula units
total magnetization	0.500	μB/atom

=====

# 2
Compound: K2FeF5
Source: Materials Project
Functional: meta-GGA r2SCAN
Structure: optimized geometry

Cell: 7.295 5.650 11.487 Å, 90.00 90.00 90.00°
Positions (direct):
K1 0.018 0.250 0.222
K2 0.162 0.750 0.415
K3 0.338 0.250 0.915
K4 0.482 0.750 0.722
K5 0.518 0.250 0.278
K6 0.662 0.750 0.085
K7 0.838 0.250 0.585
K8 0.982 0.750 0.778
Fe1 0.174 0.750 0.064
Fe2 0.326 0.250 0.564
Fe3 0.674 0.750 0.436
Fe4 0.826 0.250 0.936
F1 0.000 0.000 0.000
F2 0.000 0.500 0.000
F3 0.025 0.750 0.199
F4 0.172 0.003 0.616
F5 0.172 0.497 0.616
F6 0.218 0.250 0.410
F7 0.282 0.750 0.910
F8 0.328 0.503 0.116
F9 0.328 0.997 0.116
F10 0.475 0.250 0.699
F11 0.500 0.000 0.500
F12 0.500 0.500 0.500
F13 0.525 0.750 0.301
F14 0.672 0.003 0.884
F15 0.672 0.497 0.884
F16 0.718 0.250 0.090
F17 0.782 0.750 0.590
F18 0.828 0.503 0.384
F19 0.828 0.997 0.384
F20 0.975 0.250 0.801

Output
ΔE_f	-2225	kJ/mol of formula units
total magnetization	0.625	μB/atom

=====

# 3
Compound: K2FeF5
Source: Materials Project
Functional: meta-GGA r2SCAN
Structure: optimized geometry

Cell: 7.092 7.092 7.231 Å, 115.79 115.79 47.44°
Positions (direct):
K1 0.029 0.029 0.257
K2 0.333 0.333 0.232
K3 0.667 0.667 0.768
K4 0.971 0.971 0.743
Fe1 0.314 0.314 0.725
Fe2 0.686 0.686 0.275
F1 0.000 0.500 0.500
F2 0.123 0.607 0.928
F3 0.157 0.157 0.694
F4 0.393 0.877 0.072
F5 0.445 0.445 0.672
F6 0.500 0.000 0.500
F7 0.555 0.555 0.328
F8 0.607 0.123 0.928
F9 0.843 0.843 0.306
F10 0.877 0.393 0.072

Output
ΔE_f	-2227	kJ/mol of formula units
total magnetization	0.625	μB/atom

=====

# 4
Compound: K2FeF5
Source: Materials Project
Functional: meta-GGA r2SCAN
Structure: optimized geometry

Cell: 7.273 22.931 5.673 Å, 90.00 90.00 90.00°
Positions (direct):
K1 0.048 0.168 0.000
K2 0.128 0.583 0.500
K3 0.198 0.264 0.500
K4 0.231 0.986 0.000
K5 0.269 0.486 0.000
K6 0.302 0.764 0.500
K7 0.372 0.083 0.500
K8 0.452 0.668 0.000
K9 0.548 0.332 0.000
K10 0.628 0.917 0.500
K11 0.698 0.236 0.500
K12 0.731 0.514 0.000
K13 0.769 0.014 0.000
K14 0.802 0.736 0.500
K15 0.872 0.417 0.500
K16 0.952 0.832 0.000
Fe1 0.039 0.344 0.000
Fe2 0.115 0.907 0.500
Fe3 0.385 0.407 0.500
Fe4 0.461 0.844 0.000
Fe5 0.539 0.156 0.000
Fe6 0.615 0.593 0.500
Fe7 0.885 0.093 0.500
Fe8 0.961 0.656 0.000
F1 0.003 0.830 0.500
F2 0.042 0.067 0.257
F3 0.042 0.067 0.743
F4 0.055 0.577 0.000
F5 0.117 0.681 0.245
F6 0.117 0.681 0.755
F7 0.182 0.275 0.000
F8 0.217 0.471 0.500
F9 0.219 0.373 0.248
F10 0.219 0.373 0.752
F11 0.281 0.873 0.248
F12 0.281 0.873 0.752
F13 0.283 0.971 0.500
F14 0.318 0.775 0.000
F15 0.383 0.181 0.245
F16 0.383 0.181 0.755
F17 0.445 0.077 0.000
F18 0.458 0.567 0.257
F19 0.458 0.567 0.743
F20 0.497 0.330 0.500
F21 0.503 0.670 0.500
F22 0.542 0.433 0.257
F23 0.542 0.433 0.743
F24 0.555 0.923 0.000
F25 0.617 0.819 0.245
F26 0.617 0.819 0.755
F27 0.682 0.225 0.000
F28 0.717 0.029 0.500
F29 0.719 0.127 0.248
F30 0.719 0.127 0.752
F31 0.781 0.627 0.248
F32 0.781 0.627 0.752
F33 0.783 0.529 0.500
F34 0.818 0.725 0.000
F35 0.883 0.319 0.245
F36 0.883 0.319 0.755
F37 0.945 0.423 0.000
F38 0.958 0.933 0.257
F39 0.958 0.933 0.743
F40 0.997 0.170 0.500

Output
ΔE_f	-2226	kJ/mol of formula units
total magnetization	0.625	μB/atom

=====

# 5
Compound: KFe2P3O8F6
Source: Materials Project
Functional: meta-GGA r2SCAN
Structure: optimized geometry

Cell: 7.140 7.568 10.434 Å, 101.12 109.98 90.07°
Positions (direct):
K1 0.209 0.422 0.193
K2 0.791 0.578 0.807
Fe1 0.000 0.500 0.500
Fe2 0.341 0.178 0.668
Fe3 0.500 0.000 0.000
Fe4 0.659 0.822 0.332
P1 0.049 0.088 0.836
P2 0.314 0.587 0.822
P3 0.341 0.775 0.494
P4 0.659 0.225 0.506
P5 0.686 0.413 0.178
P6 0.951 0.912 0.164
O1 0.102 0.164 0.733
O2 0.137 0.620 0.702
O3 0.201 0.017 0.948
O4 0.201 0.607 0.442
O5 0.260 0.937 0.557
O6 0.423 0.803 0.384
O7 0.424 0.424 0.789
O8 0.461 0.747 0.899
O9 0.539 0.253 0.101
O10 0.576 0.576 0.211
O11 0.577 0.197 0.616
O12 0.740 0.063 0.443
O13 0.799 0.393 0.558
O14 0.799 0.983 0.052
O15 0.863 0.380 0.298
O16 0.898 0.836 0.267
F1 0.055 0.765 0.092
F2 0.127 0.057 0.236
F3 0.166 0.292 0.523
F4 0.217 0.543 0.929
F5 0.476 0.272 0.384
F6 0.498 0.079 0.833
F7 0.502 0.921 0.167
F8 0.524 0.728 0.616
F9 0.783 0.457 0.071
F10 0.834 0.708 0.477
F11 0.873 0.943 0.764
F12 0.945 0.235 0.908

Output
ΔE_f	-4797	kJ/mol of formula units
total magnetization	0.500	μB/atom

=====

# 6
Compound: Li2FeF6
Source: Materials Project
Functional: meta-GGA r2SCAN
Structure: optimized geometry

Cell: 4.641 4.641 8.558 Å, 90.00 90.00 90.00°
Positions (direct):
Li1 0.000 0.000 0.155
Li2 0.000 0.000 0.845
Li3 0.500 0.500 0.345
Li4 0.500 0.500 0.655
Fe1 0.000 0.000 0.500
Fe2 0.500 0.500 0.000
F1 0.187 0.187 0.347
F2 0.187 0.187 0.653
F3 0.206 0.206 0.000
F4 0.294 0.706 0.500
F5 0.313 0.687 0.153
F6 0.313 0.687 0.847
F7 0.687 0.313 0.153
F8 0.687 0.313 0.847
F9 0.706 0.294 0.500
F10 0.794 0.794 0.000
F11 0.813 0.813 0.347
F12 0.813 0.813 0.653

Output
ΔE_f	-2310	kJ/mol of formula units
total magnetization	0.444	μB/atom

=====

# 7
Compound: LiFe2F7
Source: Materials Project
Functional: meta-GGA r2SCAN
Structure: optimized geometry

Cell: 12.500 4.936 7.262 Å, 90.00 94.39 90.00°
Positions (direct):
Li1 0.085 0.248 0.319
Li2 0.085 0.252 0.819
Li3 0.915 0.748 0.181
Li4 0.915 0.752 0.681
Fe1 0.179 0.745 0.635
Fe2 0.179 0.755 0.135
Fe3 0.393 0.250 0.219
Fe4 0.393 0.250 0.719
Fe5 0.607 0.750 0.281
Fe6 0.607 0.750 0.781
Fe7 0.821 0.245 0.865
Fe8 0.821 0.255 0.365
F1 0.051 0.578 0.185
F2 0.051 0.922 0.685
F3 0.112 0.077 0.057
F4 0.112 0.423 0.557
F5 0.177 0.587 0.892
F6 0.177 0.913 0.392
F7 0.256 0.067 0.746
F8 0.256 0.433 0.246
F9 0.319 0.573 0.627
F10 0.319 0.927 0.127
F11 0.391 0.114 0.469
F12 0.391 0.386 0.969
F13 0.472 0.566 0.308
F14 0.472 0.934 0.808
F15 0.528 0.066 0.192
F16 0.528 0.434 0.692
F17 0.609 0.614 0.031
F18 0.609 0.886 0.531
F19 0.681 0.073 0.873
F20 0.681 0.427 0.373
F21 0.744 0.567 0.754
F22 0.744 0.933 0.254
F23 0.823 0.087 0.608
F24 0.823 0.413 0.108
F25 0.888 0.577 0.443
F26 0.888 0.923 0.943
F27 0.949 0.078 0.315
F28 0.949 0.422 0.815

Output
ΔE_f	-2591	kJ/mol of formula units
total magnetization	1.000	μB/atom

=====

# 8
Compound: Li2FeF5
Source: Materials Project
Functional: meta-GGA r2SCAN
Structure: optimized geometry

Cell: 5.553 5.553 7.121 Å, 109.31 109.31 53.68°
Positions (direct):
Li1 0.120 0.151 0.233
Li2 0.151 0.120 0.733
Li3 0.849 0.880 0.267
Li4 0.880 0.849 0.767
Fe1 0.500 0.500 0.000
Fe2 0.500 0.500 0.500
F1 0.091 0.742 0.549
F2 0.165 0.465 0.852
F3 0.258 0.909 0.951
F4 0.317 0.683 0.250
F5 0.465 0.165 0.352
F6 0.535 0.835 0.648
F7 0.683 0.317 0.750
F8 0.742 0.091 0.049
F9 0.835 0.535 0.148
F10 0.909 0.258 0.451

Output
ΔE_f	-2231	kJ/mol of formula units
total magnetization	0.625	μB/atom

=====

# 9
Compound: LiFe2F6
Source: Materials Project
Functional: meta-GGA r2SCAN
Structure: optimized geometry

Cell: 4.651 4.651 9.067 Å, 90.00 90.00 90.00°
Positions (direct):
Li1 0.000 0.000 0.000
Li2 0.500 0.500 0.500
Fe1 0.000 0.000 0.338
Fe2 0.000 0.000 0.662
Fe3 0.500 0.500 0.162
Fe4 0.500 0.500 0.838
F1 0.202 0.202 0.168
F2 0.202 0.202 0.832
F3 0.206 0.206 0.500
F4 0.294 0.706 0.000
F5 0.298 0.702 0.332
F6 0.298 0.702 0.668
F7 0.702 0.298 0.332
F8 0.702 0.298 0.668
F9 0.706 0.294 0.000
F10 0.794 0.794 0.500
F11 0.798 0.798 0.168
F12 0.798 0.798 0.832

Output
ΔE_f	-2335	kJ/mol of formula units
total magnetization	1.000	μB/atom

=====

# 10
Compound: LiFe5O4F8
Source: Materials Project
Functional: meta-GGA r2SCAN
Structure: optimized geometry

Cell: 4.669 4.669 8.889 Å, 90.00 90.00 93.82°
Positions (direct):
Li1 0.000 0.000 0.000
Fe1 0.000 0.000 0.325
Fe2 0.000 0.000 0.675
Fe3 0.500 0.500 0.181
Fe4 0.500 0.500 0.500
Fe5 0.500 0.500 0.819
O1 0.301 0.301 0.344
O2 0.301 0.301 0.656
O3 0.699 0.699 0.344
O4 0.699 0.699 0.656
F1 0.191 0.809 0.500
F2 0.200 0.800 0.166
F3 0.200 0.800 0.834
F4 0.306 0.306 0.000
F5 0.694 0.694 0.000
F6 0.800 0.200 0.166
F7 0.800 0.200 0.834
F8 0.809 0.191 0.500

Output
ΔE_f	-3888	kJ/mol of formula units
total magnetization	1.278	μB/atom

=====

# 11
Compound: NaFeF3
Source: Materials Project
Functional: meta-GGA r2SCAN
Structure: optimized geometry

Cell: 5.300 5.300 7.309 Å, 90.00 90.00 145.91°
Positions (direct):
Na1 0.248 0.752 0.750
Na2 0.752 0.248 0.250
Fe1 0.000 0.000 0.000
Fe2 0.000 0.000 0.500
F1 0.086 0.914 0.250
F2 0.368 0.632 0.058
F3 0.368 0.632 0.442
F4 0.632 0.368 0.558
F5 0.632 0.368 0.942
F6 0.914 0.086 0.750

Output
ΔE_f	-1256	kJ/mol of formula units
total magnetization	0.800	μB/atom

=====

# 12
Compound: NaFeF4
Source: Materials Project
Functional: meta-GGA r2SCAN
Structure: optimized geometry

Cell: 7.738 5.287 7.475 Å, 90.00 100.62 90.00°
Positions (direct):
Na1 0.143 0.220 0.385
Na2 0.143 0.280 0.885
Na3 0.857 0.720 0.115
Na4 0.857 0.780 0.615
Fe1 0.327 0.740 0.197
Fe2 0.327 0.760 0.697
Fe3 0.673 0.240 0.303
Fe4 0.673 0.260 0.803
F1 0.122 0.542 0.186
F2 0.122 0.958 0.686
F3 0.189 0.023 0.120
F4 0.189 0.477 0.620
F5 0.332 0.631 0.947
F6 0.332 0.869 0.447
F7 0.454 0.071 0.800
F8 0.454 0.429 0.300
F9 0.546 0.571 0.700
F10 0.546 0.929 0.200
F11 0.668 0.131 0.553
F12 0.668 0.369 0.053
F13 0.811 0.523 0.380
F14 0.811 0.977 0.880
F15 0.878 0.042 0.314
F16 0.878 0.458 0.814

Output
ΔE_f	-1588	kJ/mol of formula units
total magnetization	0.833	μB/atom